[1]
Material: CuSnP2O8
Method: DFT, PBE
State: relaxed

Cell and atoms, written as POSCAR:
```
CuSnP2O8
1.0
4.957 0.000 0.000
0.000 6.095 0.000
-0.335 0.000 10.050
Cu Sn P O
2 2 4 16
direct
0.103 0.250 0.207 Cu
0.897 0.750 0.793 Cu
0.462 0.250 0.718 Sn
0.538 0.750 0.282 Sn
0.083 0.750 0.095 P
0.411 0.750 0.602 P
0.589 0.250 0.398 P
0.917 0.250 0.905 P
0.134 0.750 0.948 O
0.221 0.250 0.880 O
0.239 0.557 0.171 O
0.239 0.943 0.171 O
0.276 0.546 0.668 O
0.276 0.954 0.668 O
0.283 0.250 0.380 O
0.326 0.750 0.451 O
0.674 0.250 0.549 O
0.717 0.750 0.620 O
0.724 0.046 0.332 O
0.724 0.454 0.332 O
0.761 0.057 0.829 O
0.761 0.443 0.829 O
0.779 0.750 0.120 O
0.866 0.250 0.052 O
```

Values from the calculation:
Magnetization: 2.0 Bohr magnetons per cell
ΔE_f: -26.7 eV/f.u.
E_tot: -79.708 eV per formula unit
Symmetry: P2_1/m (11)
Corrected total energy (MP2020 scheme): -7.1003 eV/atom



[2]
Material: Ti3Cu2SnP6O24
Method: DFT, PBE
State: relaxed

Cell and atoms, written as POSCAR:
```
Ti3Cu2SnP6O24
1.0
4.343 2.508 7.116
-4.343 2.508 7.116
0.000 -5.015 7.116
Ti Cu Sn P O
3 2 1 6 24
direct
0.000 0.000 0.000 Ti
0.216 0.216 0.216 Ti
0.500 0.500 0.500 Ti
0.358 0.358 0.358 Cu
0.862 0.862 0.862 Cu
0.716 0.716 0.716 Sn
0.111 0.820 0.395 P
0.315 0.607 0.900 P
0.395 0.111 0.820 P
0.607 0.900 0.315 P
0.820 0.395 0.111 P
0.900 0.315 0.607 P
0.056 0.859 0.233 O
0.088 0.294 0.441 O
0.127 0.774 0.918 O
0.164 0.983 0.355 O
0.233 0.056 0.859 O
0.277 0.631 0.415 O
0.294 0.441 0.088 O
0.355 0.164 0.983 O
0.359 0.557 0.733 O
0.415 0.277 0.631 O
0.441 0.088 0.294 O
0.473 0.658 0.873 O
0.557 0.733 0.359 O
0.587 0.946 0.804 O
0.631 0.415 0.277 O
0.658 0.873 0.473 O
0.733 0.359 0.557 O
0.774 0.918 0.127 O
0.804 0.587 0.946 O
0.859 0.233 0.056 O
0.873 0.473 0.658 O
0.918 0.127 0.774 O
0.946 0.804 0.587 O
0.983 0.355 0.164 O
```

Values from the calculation:
Magnetization: 0.0 Bohr magnetons per cell
ΔE_f: -96.5 eV/f.u.
E_tot: -267.101 eV per formula unit
Symmetry: R3 (146)
Corrected total energy (MP2020 scheme): -7.8775 eV/atom



Q: Number 2 is which compound?
A: Ti3Cu2SnP6O24